1) Compound: Li2CoNi3O8
Source: Materials Project
Functional: GGA+U
Structure: relaxed

a = 8.179 Å, b = 8.179 Å, c = 8.096 Å
α = 90.00°, β = 90.00°, γ = 90.00°
Element x y z (fractional)
Li 0.999 0.750 0.126
Li 0.250 0.001 0.374
Li 0.250 0.501 0.876
Li 0.501 0.250 0.124
Li 0.499 0.750 0.624
Li 0.750 0.499 0.376
Li 0.750 0.999 0.874
Li 0.001 0.250 0.626
Co 0.125 0.125 0.000
Co 0.375 0.625 0.250
Co 0.625 0.375 0.750
Co 0.875 0.875 0.500
Ni 0.126 0.376 0.249
Ni 0.124 0.626 0.499
Ni 0.122 0.878 0.750
Ni 0.378 0.378 0.500
Ni 0.376 0.126 0.751
Ni 0.374 0.876 0.001
Ni 0.626 0.124 0.501
Ni 0.624 0.874 0.251
Ni 0.622 0.622 0.000
Ni 0.878 0.122 0.250
Ni 0.876 0.374 0.999
Ni 0.874 0.624 0.749
O 0.109 0.139 0.234
O 0.116 0.360 0.015
O 0.110 0.644 0.735
O 0.140 0.616 0.265
O 0.110 0.868 0.516
O 0.144 0.390 0.485
O 0.139 0.109 0.766
O 0.132 0.890 0.984
O 0.368 0.390 0.266
O 0.361 0.609 0.484
O 0.356 0.890 0.765
O 0.390 0.368 0.734
O 0.360 0.116 0.985
O 0.390 0.144 0.515
O 0.384 0.860 0.235
O 0.391 0.639 0.016
O 0.609 0.361 0.516
O 0.616 0.140 0.735
O 0.610 0.856 0.015
O 0.640 0.884 0.485
O 0.610 0.632 0.234
O 0.644 0.110 0.265
O 0.639 0.391 0.984
O 0.632 0.610 0.766
O 0.868 0.110 0.484
O 0.861 0.891 0.266
O 0.856 0.610 0.985
O 0.890 0.132 0.016
O 0.860 0.384 0.765
O 0.890 0.356 0.235
O 0.884 0.640 0.515
O 0.891 0.861 0.734

## Properties
V in Å³/f.u.: 135.4

=====

2) Compound: Li2CoNi3O8
Source: Materials Project
Functional: GGA+U
Structure: relaxed

a = 8.046 Å, b = 8.046 Å, c = 8.164 Å
α = 90.00°, β = 90.00°, γ = 90.00°
Element x y z (fractional)
Li 0.752 0.999 0.626
Li 0.001 0.248 0.874
Li 0.499 0.748 0.876
Li 0.748 0.499 0.124
Li 0.248 0.001 0.126
Li 0.999 0.752 0.374
Li 0.501 0.252 0.376
Li 0.252 0.501 0.624
Co 0.627 0.373 0.750
Co 0.873 0.873 0.000
Co 0.373 0.627 0.250
Co 0.127 0.127 0.500
Ni 0.877 0.622 0.753
Ni 0.126 0.874 0.750
Ni 0.378 0.123 0.747
Ni 0.122 0.623 0.003
Ni 0.374 0.374 0.000
Ni 0.623 0.122 0.997
Ni 0.123 0.378 0.253
Ni 0.874 0.126 0.250
Ni 0.622 0.877 0.247
Ni 0.878 0.377 0.503
Ni 0.626 0.626 0.500
Ni 0.377 0.878 0.497
O 0.866 0.390 0.735
O 0.644 0.607 0.749
O 0.363 0.889 0.729
O 0.890 0.856 0.766
O 0.144 0.110 0.734
O 0.111 0.637 0.771
O 0.393 0.356 0.751
O 0.610 0.134 0.765
O 0.890 0.634 0.985
O 0.107 0.856 0.999
O 0.389 0.137 0.979
O 0.356 0.610 0.016
O 0.610 0.356 0.984
O 0.137 0.389 0.021
O 0.856 0.107 0.001
O 0.634 0.890 0.015
O 0.134 0.610 0.235
O 0.356 0.393 0.249
O 0.637 0.111 0.229
O 0.110 0.144 0.266
O 0.856 0.890 0.234
O 0.889 0.363 0.271
O 0.607 0.644 0.251
O 0.390 0.866 0.265
O 0.110 0.366 0.485
O 0.893 0.144 0.499
O 0.611 0.863 0.479
O 0.644 0.390 0.516
O 0.390 0.644 0.484
O 0.863 0.611 0.521
O 0.144 0.893 0.501
O 0.366 0.110 0.515

## Properties
V in Å³/f.u.: 132.1

=====

Most favorable structure: 1). The second most favorable one is 169 meV per atom above it.

=====

1) Compound: Li3Co2Si2O8
Source: Materials Project
Functional: GGA+U
Structure: relaxed

a = 5.328 Å, b = 5.328 Å, c = 6.307 Å
α = 89.06°, β = 89.06°, γ = 90.42°
Element x y z (fractional)
Li 0.818 0.828 0.264
Li 0.308 0.692 0.000
Li 0.172 0.182 0.736
Co 0.333 0.667 0.500
Co 0.675 0.325 0.000
Si 0.824 0.823 0.755
Si 0.177 0.176 0.245
O 0.214 0.869 0.251
O 0.131 0.786 0.749
O 0.690 0.732 0.541
O 0.699 0.683 0.974
O 0.268 0.310 0.459
O 0.317 0.301 0.026
O 0.868 0.207 0.217
O 0.793 0.132 0.783

## Properties
V in Å³/f.u.: 179.0

=====

2) Compound: Li3Co2Si2O8
Source: Materials Project
Functional: GGA+U
Structure: relaxed

a = 5.056 Å, b = 5.340 Å, c = 6.430 Å
α = 89.72°, β = 89.56°, γ = 89.38°
Element x y z (fractional)
Li 0.497 0.170 0.994
Li 0.995 0.818 0.500
Li 0.006 0.346 0.241
Co 0.993 0.824 0.984
Co 0.499 0.171 0.497
Si 0.998 0.322 0.746
Si 0.489 0.685 0.247
O 0.105 0.185 0.960
O 0.676 0.266 0.733
O 0.056 0.619 0.742
O 0.126 0.189 0.529
O 0.592 0.840 0.455
O 0.594 0.386 0.269
O 0.164 0.686 0.243
O 0.612 0.825 0.045

## Properties
V in Å³/f.u.: 173.6

=====

Most favorable structure: 2). The second most favorable one is 8 meV per atom above it.

=====

1) Compound: VAs2H4O9
Source: Materials Project
Functional: GGA+U
Structure: relaxed

a = 9.285 Å, b = 9.285 Å, c = 8.540 Å
α = 90.00°, β = 90.00°, γ = 90.00°
Element x y z (fractional)
V 0.000 0.500 0.304
V 0.000 0.500 0.804
V 0.500 0.000 0.696
V 0.500 0.000 0.196
As 0.215 0.785 0.250
As 0.215 0.215 0.750
As 0.785 0.785 0.750
As 0.785 0.215 0.250
As 0.285 0.715 0.750
As 0.285 0.285 0.250
As 0.715 0.715 0.250
As 0.715 0.285 0.750
H 0.038 0.837 0.429
H 0.038 0.163 0.929
H 0.962 0.837 0.929
H 0.962 0.163 0.429
H 0.337 0.538 0.929
H 0.337 0.462 0.429
H 0.663 0.538 0.429
H 0.663 0.462 0.929
H 0.462 0.663 0.571
H 0.462 0.337 0.071
H 0.538 0.663 0.071
H 0.538 0.337 0.571
H 0.163 0.962 0.071
H 0.163 0.038 0.571
H 0.837 0.962 0.571
H 0.837 0.038 0.071
O 0.139 0.871 0.415
O 0.139 0.129 0.915
O 0.861 0.871 0.915
O 0.861 0.129 0.415
O 0.371 0.639 0.915
O 0.371 0.361 0.415
O 0.629 0.639 0.415
O 0.629 0.361 0.915
O 0.361 0.629 0.585
O 0.361 0.371 0.085
O 0.639 0.629 0.085
O 0.639 0.371 0.585
O 0.129 0.861 0.085
O 0.129 0.139 0.585
O 0.871 0.861 0.585
O 0.871 0.139 0.085
O 0.184 0.605 0.254
O 0.184 0.395 0.754
O 0.816 0.605 0.754
O 0.816 0.395 0.254
O 0.105 0.684 0.754
O 0.105 0.316 0.254
O 0.895 0.684 0.254
O 0.895 0.316 0.754
O 0.316 0.895 0.746
O 0.316 0.105 0.246
O 0.684 0.895 0.246
O 0.684 0.105 0.746
O 0.395 0.816 0.246
O 0.395 0.184 0.746
O 0.605 0.816 0.746
O 0.605 0.184 0.246
O 0.000 0.500 0.496
O 0.000 0.500 0.996
O 0.500 0.000 0.504
O 0.500 0.000 0.004

## Properties
V in Å³/f.u.: 184.1

=====

2) Compound: VAs2H4O9
Source: Materials Project
Functional: GGA+U
Structure: relaxed

a = 7.842 Å, b = 7.842 Å, c = 7.842 Å
α = 105.92°, β = 105.92°, γ = 116.84°
Element x y z (fractional)
V 0.542 0.542 0.000
V 0.042 0.042 0.000
As 0.300 0.204 0.500
As 0.704 0.800 0.500
As 0.204 0.704 0.904
As 0.800 0.300 0.096
H 0.904 0.132 0.500
H 0.632 0.404 0.500
H 0.132 0.632 0.228
H 0.404 0.904 0.772
H 0.096 0.872 0.500
H 0.372 0.596 0.500
H 0.872 0.372 0.775
H 0.596 0.096 0.225
O 0.323 0.382 0.703
O 0.679 0.620 0.297
O 0.179 0.882 0.059
O 0.823 0.120 0.941
O 0.382 0.679 0.059
O 0.620 0.323 0.941
O 0.882 0.823 0.703
O 0.120 0.179 0.297
O 0.543 0.267 0.500
O 0.767 0.043 0.500
O 0.267 0.767 0.724
O 0.043 0.543 0.276
O 0.460 0.734 0.500
O 0.234 0.960 0.500
O 0.734 0.234 0.274
O 0.960 0.460 0.726
O 0.744 0.744 0.000
O 0.244 0.244 0.000

## Properties
V in Å³/f.u.: 183.3

=====

Most favorable structure: 1). The second most favorable one is 60 meV per atom above it.

=====

1) Compound: UMo5O16
Source: Materials Project
Functional: GGA+U
Structure: relaxed

a = 4.121 Å, b = 7.363 Å, c = 10.064 Å
α = 89.08°, β = 90.00°, γ = 90.00°
Element x y z (fractional)
U 0.004 0.000 0.000
Mo 0.921 0.254 0.679
Mo 0.097 0.500 0.000
Mo 0.921 0.746 0.321
Mo 0.098 0.758 0.687
Mo 0.098 0.242 0.313
O 0.520 0.759 0.680
O 0.498 0.750 0.315
O 0.498 0.250 0.685
O 0.002 0.187 0.507
O 0.520 0.241 0.320
O 0.017 0.716 0.879
O 0.998 0.501 0.345
O 0.006 0.994 0.243
O 0.521 0.500 0.000
O 0.017 0.284 0.121
O 0.006 0.714 0.120
O 0.002 0.813 0.493
O 0.504 0.000 0.000
O 0.006 0.286 0.880
O 0.006 0.006 0.757
O 0.998 0.499 0.655

## Properties
V in Å³/f.u.: 305.4

=====

2) Compound: UMo5O16
Source: Materials Project
Functional: GGA+U
Structure: relaxed

a = 4.153 Å, b = 14.772 Å, c = 12.408 Å
α = 53.47°, β = 90.00°, γ = 90.00°
Element x y z (fractional)
U 0.000 0.002 0.997
U 0.000 0.498 0.003
Mo 0.094 0.250 0.000
Mo 0.092 0.034 0.684
Mo 0.092 0.466 0.316
Mo 0.088 0.534 0.681
Mo 0.088 0.966 0.319
Mo 0.908 0.218 0.316
Mo 0.908 0.282 0.684
Mo 0.912 0.715 0.319
Mo 0.912 0.785 0.681
Mo 0.906 0.750 0.000
O 0.009 0.070 0.351
O 0.000 0.379 0.242
O 0.000 0.340 0.500
O 0.991 0.579 0.351
O 0.000 0.876 0.248
O 0.000 0.840 0.500
O 0.001 0.297 0.119
O 0.990 0.793 0.125
O 0.001 0.203 0.881
O 0.990 0.707 0.875
O 0.511 0.031 0.684
O 0.511 0.469 0.316
O 0.507 0.963 0.319
O 0.507 0.537 0.681
O 0.500 0.001 0.999
O 0.514 0.250 0.000
O 0.500 0.499 0.001
O 0.486 0.750 0.000
O 0.489 0.215 0.316
O 0.489 0.285 0.684
O 0.493 0.718 0.319
O 0.493 0.782 0.681
O 0.010 0.081 0.125
O 0.999 0.584 0.119
O 0.010 0.419 0.875
O 0.999 0.916 0.881
O 0.000 0.160 0.500
O 0.000 0.121 0.758
O 0.009 0.430 0.649
O 0.000 0.660 0.500
O 0.000 0.624 0.752
O 0.991 0.921 0.649

## Properties
V in Å³/f.u.: 305.8

=====

Most favorable structure: 1). The second most favorable one is 20 meV per atom above it.